# 1
Na6Ca6Hf2SiS11O48 | Materials Project | PBE | optimized geometry; calculated density = 2.70 g/cm3; spin magnetization = 0.0 μB per cell; E_form = -2.544 eV/atom; DFT total energy = -6.5347 eV per atom; V = 15.643 Å³/atom
1.0
-15.8235 1.9604 -9.0156
0.0881 -3.8776 8.2796
-3.1200 21.5076 10.0285
O S Na Si Hf Ca
144 33 18 3 6 18
direct
0.0665 0.6727 0.4639
0.2361 0.3057 0.7446
0.9270 0.3165 0.5354
0.9343 0.5699 0.0381
0.5657 0.6797 0.4658
0.0579 0.4596 0.8645
0.9151 0.0209 0.7970
0.3308 0.1361 0.4199
0.4294 0.3182 0.5357
0.2669 0.8749 0.3692
0.4860 0.8015 0.0868
0.8982 0.8212 0.1958
0.3472 0.1829 0.7417
0.9267 0.3418 0.6364
0.1765 0.4712 0.3674
0.4290 0.3274 0.9178
0.6060 0.0222 0.5900
0.9291 0.3281 0.9186
0.5957 0.1809 0.0845
0.0828 0.9876 0.9043
0.1610 0.4585 0.7583
0.3388 0.1211 0.0331
0.6475 0.8724 0.9656
0.3930 0.7956 0.1999
0.7289 0.3236 0.0370
0.5835 0.4833 0.2633
0.9091 0.7964 0.5872
0.3310 0.5214 0.6322
0.1091 0.0198 0.2991
0.4084 0.0021 0.0866
0.0559 0.6585 0.3617
0.8886 0.9872 0.6849
0.5242 0.2438 0.2040
0.1730 0.4853 0.0798
0.6607 0.4584 0.7583
0.0886 0.9908 0.1984
0.5691 0.6608 0.3646
0.0589 0.4877 0.5873
0.6602 0.4604 0.4637
0.7446 0.1482 0.6353
0.1917 0.8837 0.5876
0.4277 0.3414 0.6365
0.7706 0.6519 0.8650
0.2495 0.3633 0.4189
0.3382 0.5495 0.5302
0.7895 0.7075 0.9651
0.5089 0.1827 0.9045
0.9832 0.1796 0.5899
0.4157 0.0204 0.7971
0.1071 0.1776 0.7994
0.7646 0.8560 0.0798
0.1028 0.2142 0.6988
0.6586 0.8398 0.2638
0.6691 0.4801 0.3621
0.4318 0.3363 0.2481
0.4429 0.5368 0.1345
0.4349 0.5138 0.4129
0.9120 0.7832 0.3035
0.5834 0.9873 0.9048
0.4100 0.7990 0.5861
0.7563 0.8515 0.3682
0.5909 0.2082 0.4088
0.5582 0.4599 0.8640
0.0055 0.1979 0.1975
0.4844 0.7876 0.7996
0.8511 0.1305 0.0347
0.9171 0.0157 0.0922
0.0085 0.8215 0.4172
0.3368 0.5290 0.9194
0.8129 0.1213 0.4132
0.0643 0.4249 0.9651
0.2577 0.6464 0.5853
0.3953 0.7799 0.3020
0.2681 0.6545 0.8688
0.3888 0.9872 0.6847
0.7307 0.1410 0.5339
0.8947 0.9773 0.4117
0.6028 0.2143 0.6988
0.5088 0.7972 0.6992
0.4005 0.9669 0.4162
0.2561 0.8442 0.7523
0.4842 0.1791 0.5896
0.2298 0.1384 0.5350
0.5082 0.8167 0.4104
0.0953 0.1980 0.4151
0.9127 0.5329 0.7442
0.7444 0.3675 0.4111
0.7358 0.3052 0.7449
0.9954 0.8215 0.0947
0.8362 0.5404 0.5341
0.4125 0.5327 0.7439
0.5693 0.6594 0.0787
0.7234 0.3443 0.1387
0.1712 0.8852 0.8650
0.2139 0.2981 0.0343
0.6067 0.1773 0.7994
0.0082 0.1818 0.9047
0.0090 0.7979 0.6993
0.1633 0.4548 0.4687
0.5646 0.4262 0.9647
0.6731 0.4894 0.0806
0.0775 0.4667 0.2456
0.9260 0.3163 0.2421
0.3256 0.1070 0.1344
0.2335 0.3542 0.1343
0.7569 0.6450 0.5865
0.2571 0.8488 0.0803
0.2349 0.1436 0.9178
0.4094 0.8326 0.9049
0.0633 0.6633 0.7585
0.7545 0.6816 0.2601
0.0720 0.6705 0.0816
0.2301 0.1402 0.2398
0.1416 0.8324 0.2456
0.8470 0.1831 0.7416
0.6005 0.9599 0.2019
0.4936 0.2075 0.3034
0.8322 0.5079 0.2436
0.4305 0.5470 0.0338
0.7356 0.1434 0.9193
0.7710 0.8677 0.4693
0.9475 0.5502 0.1393
0.3395 0.5252 0.2482
0.2637 0.6819 0.2511
0.9310 0.5126 0.4166
0.5631 0.6625 0.7584
0.6087 0.0217 0.3015
0.9101 0.8330 0.9040
0.1058 0.0201 0.5917
0.8374 0.5298 0.9193
0.7557 0.8446 0.7521
0.7350 0.1428 0.2479
0.0923 0.1782 0.0953
0.2914 0.7047 0.9691
0.9958 0.2058 0.2985
0.9847 0.7884 0.7996
0.5602 0.4878 0.5876
0.2759 0.8680 0.4710
0.1468 0.8744 0.9653
0.8299 0.5234 0.6358
0.8275 0.1086 0.1355
0.2451 0.1477 0.6361
0.6720 0.8863 0.8652
0.6920 0.8855 0.5863
0.9951 0.6993 0.7499
0.0011 0.2954 0.2474
0.5203 0.6673 0.4142
0.5160 0.3565 0.9129
0.8372 0.0286 0.0850
0.3171 0.9625 0.4191
0.8233 0.6749 0.9136
0.1496 0.2902 0.7498
0.6919 0.0490 0.5854
0.8333 0.6244 0.5855
0.6808 0.3354 0.0845
0.1440 0.9989 0.2471
0.3481 0.6956 0.2500
0.4950 0.6991 0.7500
0.3326 0.0243 0.0835
0.0160 0.6672 0.4150
0.1912 0.0467 0.5866
0.4831 0.6344 0.0833
0.9864 0.6465 0.0876
0.6664 0.3771 0.4130
0.5045 0.3119 0.2543
0.6495 0.2901 0.7499
0.9755 0.3331 0.5861
0.1787 0.3281 0.0857
0.0156 0.3555 0.9131
0.4769 0.3336 0.5868
0.1687 0.3697 0.4176
0.8108 0.9578 0.4172
0.6611 0.9710 0.9139
0.3340 0.6269 0.5835
0.6499 0.9933 0.2532
0.3234 0.6754 0.9155
0.1603 0.9712 0.9131
0.5121 0.0177 0.0015
0.6886 0.3666 0.2435
0.5125 0.0157 0.5009
0.1727 0.6755 0.6785
0.1685 0.6703 0.1653
0.0018 0.0003 0.9977
0.9899 0.6355 0.2552
0.8320 0.3221 0.8387
0.3338 0.6948 0.0817
0.8380 0.3438 0.3340
0.8369 0.9632 0.5959
0.3330 0.3221 0.8386
0.3452 0.6642 0.4140
0.6684 0.6754 0.1562
0.0088 0.9947 0.4952
0.6741 0.6764 0.6792
0.3358 0.9616 0.5957
0.3292 0.3203 0.3297
0.3498 0.9986 0.7436
0.8503 0.7004 0.2521
0.8493 0.9992 0.7434
0.3339 0.3294 0.6904
0.9938 0.0009 0.8450
0.6727 0.6745 0.3156
0.4944 0.0015 0.8458
0.9913 0.9900 0.1525
0.8340 0.3303 0.6901
0.6711 0.6764 0.8162
0.3350 0.3320 0.1818
0.0000 0.9982 0.6520
0.4986 0.0008 0.3485
0.8325 0.3375 0.4783
0.8317 0.3294 0.1792
0.3305 0.3245 0.9838
0.9988 0.9977 0.3507
0.1709 0.6758 0.8160
0.1594 0.6583 0.5200
0.1671 0.6664 0.3155
0.6670 0.6680 0.0111
0.3343 0.3303 0.4817
0.5004 0.9979 0.6523
0.6618 0.6589 0.5211
0.5046 0.0077 0.1526
0.8346 0.3331 0.9852
0.1618 0.6689 0.0105

# 2
Na6Ca2Hf6Si5S7O48 | Materials Project | PBE | optimized geometry; calculated density = 3.60 g/cm3; spin magnetization = 0.0 μB per cell; E_form = -2.804 eV/atom; DFT total energy = -7.2945 eV per atom; V = 15.103 Å³/atom
1.0
18.1220 -0.0390 -0.0228
-4.5474 7.8784 -0.0021
-0.0285 -0.0229 23.5135
Ca O Hf Si S Na
6 144 18 15 21 18
direct
0.8321 0.3388 0.1917
0.3315 0.3295 0.1865
0.3318 0.3259 0.6904
0.8315 0.3329 0.6850
0.6662 0.6643 0.5144
0.1659 0.6688 0.0149
0.7331 0.1697 0.5283
0.0774 0.6906 0.4725
0.7852 0.8726 0.4682
0.5982 0.1772 0.0872
0.7276 0.3131 0.7528
0.5868 0.0018 0.3050
0.4366 0.3632 0.9222
0.2329 0.2963 0.0280
0.0856 0.4656 0.2534
0.0066 0.8288 0.4103
0.1486 0.8335 0.2538
0.0630 0.4271 0.9684
0.4258 0.0165 0.0893
0.4281 0.5542 0.7524
0.0825 0.1853 0.4088
0.4131 0.7936 0.5879
0.5762 0.4810 0.5755
0.7578 0.6670 0.5764
0.0941 0.9801 0.1980
0.5837 0.4570 0.2587
0.8517 0.5440 0.5286
0.0862 0.1974 0.6945
0.9044 0.9942 0.8016
0.2490 0.3831 0.1371
0.5742 0.4583 0.9676
0.7569 0.8703 0.3665
0.2339 0.1043 0.6341
0.1660 0.4844 0.0743
0.4007 0.9699 0.6970
0.5832 0.6981 0.7574
0.9301 0.3036 0.2502
0.0652 0.6374 0.3605
0.6516 0.8367 0.9714
0.0715 0.4827 0.5744
0.9508 0.3652 0.6361
0.1534 0.4654 0.4722
0.6424 0.8086 0.2588
0.2483 0.1429 0.9179
0.1546 0.8810 0.9686
0.9821 0.8114 0.0910
0.5907 0.0308 0.5928
0.2274 0.1439 0.2515
0.2582 0.6600 0.5748
0.4048 0.8158 0.3002
0.6468 0.4619 0.7577
0.8410 0.1429 0.0311
0.4811 0.1533 0.5905
0.9292 0.5457 0.7512
0.9232 0.4867 0.4249
0.4124 0.0013 0.8090
0.2686 0.7015 0.2519
0.0758 0.6715 0.0753
0.6683 0.4803 0.0701
0.7678 0.8357 0.7549
0.9022 0.9954 0.4045
0.9121 0.0309 0.0869
0.9121 0.8269 0.3072
0.1717 0.8578 0.5744
0.0121 0.8180 0.7010
0.4503 0.5343 0.1343
0.0901 0.1509 0.0913
0.5821 0.9837 0.9105
0.5121 0.2063 0.2007
0.9099 0.8385 0.9095
0.3230 0.1239 0.1390
0.2688 0.8442 0.4713
0.8947 0.9750 0.6977
0.0061 0.1909 0.3000
0.9171 0.5283 0.0257
0.0833 0.7102 0.7596
0.0943 0.9944 0.9053
0.9294 0.3502 0.9192
0.5970 0.1892 0.8031
0.8201 0.5229 0.6414
0.2547 0.8665 0.3583
0.5164 0.8159 0.6980
0.7527 0.1457 0.9259
0.4884 0.8000 0.0863
0.3526 0.1628 0.0263
0.7455 0.3531 0.4176
0.7539 0.6432 0.8592
0.4294 0.5088 0.4191
0.8202 0.1356 0.4187
0.4937 0.1842 0.3038
0.3504 0.5539 0.2503
0.7383 0.1514 0.2529
0.4034 0.8130 0.9049
0.7473 0.1120 0.6385
0.2588 0.8520 0.0753
0.5627 0.6982 0.4687
0.3972 0.8172 0.1963
0.8119 0.0976 0.1342
0.9242 0.8324 0.5919
0.8982 0.8276 0.1952
0.4416 0.3879 0.6377
0.4174 0.3105 0.5270
0.4295 0.3131 0.2505
0.8478 0.1451 0.7520
0.9275 0.3069 0.5332
0.0986 0.0175 0.5876
0.0972 0.0026 0.3019
0.1431 0.4764 0.7591
0.7244 0.3074 0.0299
0.3466 0.1655 0.7547
0.4259 0.5439 0.0312
0.7340 0.3699 0.1326
0.6754 0.4798 0.3658
0.1779 0.8758 0.8659
0.0148 0.2118 0.1959
0.9884 0.1744 0.5886
0.6774 0.8626 0.8610
0.0617 0.4835 0.8665
0.5918 0.1941 0.4049
0.3230 0.1464 0.4217
0.5938 0.2100 0.6993
0.2525 0.3569 0.4264
0.0028 0.1948 0.9044
0.6653 0.8477 0.5742
0.5867 0.9748 0.1932
0.4104 0.9825 0.4088
0.8215 0.4971 0.9214
0.7579 0.8576 0.0727
0.9394 0.4911 0.1356
0.2246 0.1390 0.5307
0.6520 0.4275 0.4684
0.5030 0.8111 0.4046
0.7653 0.6886 0.9705
0.5616 0.6402 0.3665
0.3254 0.5084 0.9187
0.5692 0.6529 0.0712
0.5050 0.8186 0.8015
0.3144 0.5282 0.6352
0.5120 0.2064 0.9101
0.9934 0.8036 0.8042
0.1826 0.4943 0.3603
0.2383 0.3246 0.7532
0.2600 0.8226 0.7597
0.8448 0.5276 0.2542
0.3418 0.5416 0.5321
0.2583 0.6416 0.8664
0.2858 0.6950 0.9682
0.5634 0.4824 0.8644
0.7585 0.6969 0.2588
0.0873 0.1726 0.8060
0.1641 0.6613 0.3198
0.1674 0.6678 0.5099
0.1712 0.6653 0.8094
0.4992 0.9968 0.3532
0.0063 0.0066 0.6463
0.4928 0.0038 0.6447
0.6721 0.6790 0.3108
0.0022 0.9933 0.3562
0.0000 0.0016 0.8532
0.5023 0.0011 0.8526
0.5040 0.0062 0.1499
0.6716 0.6768 0.0132
0.3309 0.3159 0.4772
0.3290 0.3181 0.9860
0.8335 0.3503 0.4837
0.6718 0.6780 0.8162
0.9945 0.9839 0.1485
0.8319 0.3465 0.9777
0.8151 0.6703 0.9150
0.6666 0.9625 0.9168
0.8375 0.6373 0.5864
0.6444 0.9947 0.2522
0.6852 0.0398 0.5844
0.8553 0.7112 0.2536
0.1442 0.2929 0.7523
0.3560 0.0018 0.7535
0.4775 0.3350 0.5845
0.9772 0.6224 0.0843
0.0163 0.6583 0.4166
0.3142 0.9573 0.4144
0.1672 0.3731 0.4165
0.1833 0.3298 0.0854
0.3395 0.0396 0.0851
0.6428 0.2943 0.7521
0.8547 0.9930 0.7509
0.6673 0.3684 0.4146
0.5161 0.6630 0.4153
0.0164 0.3694 0.9152
0.3293 0.6232 0.5830
0.4830 0.6286 0.0821
0.1691 0.9692 0.9147
0.5056 0.7174 0.7510
0.3165 0.6627 0.9152
0.8156 0.9690 0.4155
0.1430 0.9911 0.2517
0.3538 0.7170 0.2501
0.5215 0.3788 0.9158
0.9842 0.3380 0.5836
0.8305 0.0382 0.0824
0.6845 0.3362 0.0814
0.0069 0.2919 0.2506
0.5030 0.2905 0.2536
0.0026 0.7162 0.7532
0.1859 0.0326 0.5825
0.1629 0.6646 0.1580
0.0198 0.3609 0.0906
0.5054 0.0104 0.0008
0.8257 0.3278 0.8358
0.0081 0.9912 0.4941
0.1586 0.9643 0.0870
0.8334 0.3428 0.3244
0.5195 0.6808 0.5866
0.8200 0.9591 0.5841
0.3219 0.3202 0.3374
0.6645 0.6631 0.6511
0.1753 0.6667 0.6665
0.4916 0.0090 0.5012
0.3189 0.6821 0.0880
0.3254 0.3184 0.8211
0.9937 0.9767 0.0046
0.6600 0.3521 0.5831
0.6762 0.6837 0.1736